Below is a relaxed structure of Li2V3WO8, with properties calculated at the GGA+U level.

Values from the calculation:
SG: P1
Final energy: -7.31 eV/atom
Energy of formation: -2.409 eV/atom
Distance to the lowest polymorph of the same formula: 1.5 kJ per mole of atoms

Cell: 8.5125 8.6367 8.6811 Å, 90.06 90.11 90.17°
Closest atoms and distances in Å follow each position.
Positions (direct):
O 0.1327 0.8550 0.8671  2 V 2.01-2.05, 1 Li 2.02, 1 W 2.12
O 0.1310 0.1378 0.1363  3 V 2.00-2.02, 1 Li 2.02
O 0.3634 0.8679 0.6450  1 Li 2.05, 2 V 2.05-2.10, 1 W 2.06
O 0.3674 0.6358 0.8652  1 Li 2.01, 3 V 2.02-2.03
O 0.3853 0.1101 0.8845  1 W 2.04, 1 Li 2.06, 2 V 2.07-2.09
O 0.3618 0.1392 0.3642  1 W 2.04, 1 Li 2.05, 2 V 2.06-2.09
Li 0.2486 0.2492 0.7470  4 O 2.04-2.06
V 0.3676 0.1185 0.1242  6 O 2.02-2.09
Li 0.7504 0.2479 0.2456  4 O 2.02-2.08
W 0.6236 0.1246 0.8733  6 O 1.98-2.05
O 0.1184 0.1121 0.6027  2 V 2.04-2.08, 1 Li 2.05, 1 W 2.07
O 0.3685 0.3573 0.1384  1 Li 2.03, 1 W 2.06, 2 V 2.07-2.08
O 0.6467 0.8661 0.3636  3 V 1.94-2.05, 1 Li 2.11
Li 0.4981 0.0021 0.5027  4 O 2.03-2.11
O 0.6098 0.1167 0.1094  1 Li 2.02, 1 W 2.05, 2 V 2.07
Li 0.0018 0.5031 0.5039  4 O 2.00-2.07
O 0.1167 0.3863 0.8879  3 V 2.00-2.04, 1 Li 2.04
O 0.6310 0.1414 0.6393  1 Li 2.03, 1 W 2.04, 2 V 2.06-2.09
O 0.6231 0.8961 0.8899  1 W 1.98, 1 Li 2.07, 2 V 2.09-2.14
O 0.8637 0.8618 0.1416  2 V 2.06-2.07, 1 W 2.06, 1 Li 2.07
O 0.6171 0.6126 0.6127  3 V 2.00-2.05, 1 Li 2.02
O 0.0981 0.8837 0.3750  2 V 1.91-2.09, 1 Li 2.05
O 0.3848 0.6131 0.3924  1 Li 2.04, 1 W 2.06, 2 V 2.07-2.09
V 0.1200 0.1253 0.3685  6 O 2.02-2.13
O 0.6453 0.6327 0.1394  1 W 1.98, 1 Li 2.10, 2 V 2.12-2.13
V 0.1305 0.6221 0.8769  6 O 2.01-2.16
O 0.1370 0.6371 0.6371  1 Li 2.00, 1 W 2.05, 2 V 2.05-2.09
O 0.6070 0.3884 0.3795  1 W 1.98, 1 Li 2.08, 2 V 2.10-2.14
O 0.8637 0.1308 0.8553  2 V 2.05-2.10, 1 W 2.05, 1 Li 2.06
O 0.8819 0.1115 0.3856  3 V 1.98-2.04, 1 Li 2.03
O 0.3879 0.8840 0.1161  3 V 1.99-2.05, 1 Li 2.02
Li 0.0014 0.9981 0.9987  4 O 2.02-2.07
V 0.8736 0.8823 0.3776  6 O 1.91-2.06
O 0.8795 0.8899 0.6074  2 V 2.00-2.10, 1 Li 2.05, 1 W 2.08
O 0.8691 0.6442 0.3638  2 V 2.06-2.07, 1 Li 2.06, 1 W 2.07
O 0.1068 0.6121 0.1239  1 W 1.96, 1 Li 2.04, 2 V 2.11-2.16
V 0.8754 0.1322 0.6196  6 O 2.01-2.10
V 0.8825 0.3727 0.8687  6 O 2.00-2.10
Li 0.4985 0.4970 0.9993  4 O 2.01-2.10
V 0.3778 0.6259 0.6326  6 O 2.02-2.10
W 0.8769 0.6239 0.1264  6 O 1.96-2.07
V 0.6215 0.8785 0.1295  6 O 1.99-2.13
W 0.1230 0.8740 0.6243  6 O 2.05-2.18
Li 0.2519 0.7504 0.2519  4 O 2.02-2.05
V 0.1256 0.3682 0.1176  6 O 2.00-2.12
O 0.1441 0.3710 0.3617  1 W 1.97, 1 Li 2.07, 2 V 2.12-2.13
O 0.8642 0.3647 0.6356  3 V 2.01-2.03, 1 Li 2.03
O 0.3876 0.3847 0.6091  1 W 2.04, 1 Li 2.05, 2 V 2.05-2.10
W 0.3748 0.3753 0.3746  6 O 1.97-2.06
O 0.6360 0.3534 0.8680  1 W 1.98, 1 Li 2.05, 2 V 2.10-2.12
V 0.6273 0.6303 0.3831  6 O 2.00-2.12
O 0.8863 0.6140 0.8924  1 W 2.03, 1 Li 2.05, 2 V 2.08-2.09
O 0.8814 0.3884 0.1074  1 Li 2.04, 1 W 2.04, 2 V 2.08-2.09
Li 0.7507 0.7492 0.7504  4 O 2.02-2.07
V 0.3732 0.8702 0.8813  6 O 2.03-2.14
V 0.6279 0.3792 0.6249  6 O 2.02-2.14



Below is a relaxed structure of LiMnBO3, with properties calculated at the GGA+U level.

Values from the calculation:
SG: P2_1/c
Final energy: -7.28 eV/atom
Energy of formation: -2.465 eV/atom
Distance to the lowest polymorph of the same formula: 4.7 kJ per mole of atoms

Cell: 3.2352 9.0333 9.8007 Å, 89.98 90.00 90.21°
Closest atoms and distances in Å follow each position.
Positions (direct):
Mn 0.7492 0.2820 0.4473  5 O 2.14-2.17
Mn 0.2493 0.7821 0.0527  5 O 2.14-2.17
Li 0.7503 0.6266 0.7827  4 O 1.95-2.11
O 0.7506 0.4559 0.2991  1 B 1.37
B 0.7496 0.6076 0.2914  3 O 1.37-1.41
O 0.2494 0.5441 0.7009  1 B 1.37
B 0.2504 0.3924 0.7086  3 O 1.37-1.41
O 0.2495 0.3013 0.5924  1 B 1.41
O 0.7496 0.8013 0.9075  1 B 1.41
O 0.7480 0.6786 0.1651  1 B 1.39
B 0.2496 0.1076 0.2088  3 O 1.37-1.41
Mn 0.7507 0.2179 0.9472  5 O 2.14-2.17
O 0.2520 0.3214 0.8349  1 B 1.39
O 0.2507 0.9559 0.2012  1 B 1.37
B 0.7504 0.8924 0.7912  3 O 1.37-1.41
Mn 0.2508 0.7180 0.5527  5 O 2.14-2.17
O 0.2479 0.1785 0.3350  1 B 1.39
O 0.7505 0.6987 0.4076  1 B 1.41
O 0.2504 0.1987 0.0925  1 B 1.41
O 0.7493 0.0442 0.7989  1 B 1.37
Li 0.2502 0.1266 0.7171  4 O 1.95-2.10
Li 0.7498 0.8734 0.2829  4 O 1.95-2.10
O 0.7521 0.8216 0.6650  1 B 1.39
Li 0.2497 0.3734 0.2173  4 O 1.95-2.10



Below is a relaxed structure of Li9V12Fe7O48, with properties calculated at the GGA+U level.

Values from the calculation:
SG: P1
Final energy: -6.75 eV/atom
Energy of formation: -2.091 eV/atom

Cell: 5.1246 10.2129 17.4412 Å, 89.75 89.57 89.81°
Closest atoms and distances in Å follow each position.
Positions (direct):
O 0.5888 0.1138 0.9670  1 V 1.80
Li 0.7473 0.4152 0.4706  5 O 2.04-2.14
O 0.5576 0.2356 0.4935  1 V 1.80, 1 Fe 1.96
Li 0.4028 0.7511 0.2480  6 O 2.05-2.17
V 0.2130 0.4743 0.3441  4 O 1.70-1.80
O 0.8977 0.8898 0.4664  1 V 1.77
O 0.0957 0.8704 0.7937  1 V 1.69
O 0.9439 0.3873 0.3698  1 V 1.70
O 0.9258 0.5042 0.0743  1 V 1.74
O 0.8947 0.1282 0.2133  1 V 1.69
O 0.4119 0.5092 0.4259  1 V 1.80, 1 Fe 1.96
O 0.4247 0.8907 0.0358  1 V 1.80
O 0.1027 0.3896 0.5329  1 V 1.76
O 0.4057 0.3722 0.2872  1 V 1.74
Fe 0.2646 0.5680 0.5238  6 O 1.96-2.06
O 0.9450 0.7606 0.9960  1 V 1.77, 1 Fe 1.97
Fe 0.9043 0.7509 0.2516  6 O 1.97-2.08
O 0.4036 0.6164 0.0353  1 V 1.73
O 0.0806 0.6109 0.6195  1 V 1.80, 1 Fe 1.96
V 0.2775 0.2457 0.5557  4 O 1.72-1.80
Li 0.5994 0.2514 0.7520  6 O 2.02-2.19
O 0.4427 0.7357 0.5049  1 V 1.79, 1 Fe 1.97
V 0.2180 0.7527 0.0579  4 O 1.72-1.80
Li 0.7515 0.7468 0.7988  6 O 2.09-2.19
O 0.6677 0.7474 0.3445  1 V 1.74
O 0.0636 0.1209 0.5351  1 V 1.72
O 0.1445 0.6164 0.2912  1 V 1.75
V 0.7179 0.0295 0.1564  4 O 1.69-1.81
V 0.7205 0.4731 0.1525  4 O 1.72-1.79
O 0.8574 0.3862 0.7047  1 V 1.75
O 0.6124 0.6333 0.7066  1 V 1.71
O 0.5856 0.4905 0.5739  1 V 1.75
O 0.3841 0.1311 0.2918  1 V 1.71
V 0.7866 0.2533 0.9435  4 O 1.71-1.85
O 0.6697 0.6182 0.2038  1 V 1.75
Li 0.7337 0.2519 0.3021  6 O 2.10-2.19
O 0.9183 0.1114 0.3800  1 V 1.80, 1 Fe 1.96
O 0.0853 0.0097 0.9299  1 V 1.82
O 0.8963 0.3689 0.2098  1 V 1.72
Li 0.2531 0.9144 0.5295  5 O 2.04-2.15
O 0.8585 0.2520 0.8478  1 V 1.71
O 0.6653 0.8836 0.2048  1 V 1.73
O 0.3342 0.2461 0.6540  1 V 1.74
Fe 0.2534 0.0786 0.0298  6 O 1.95-2.11
V 0.2841 0.9714 0.8463  4 O 1.69-1.82
O 0.9364 0.6214 0.4641  1 V 1.72
O 0.5715 0.8892 0.8766  1 V 1.78, 1 Fe 1.97
O 0.0724 0.2510 0.0076  1 V 1.85, 1 Fe 2.02
O 0.5888 0.8730 0.7122  1 V 1.74
O 0.3337 0.1162 0.7962  1 V 1.73
Li 0.7577 0.5812 0.9698  6 O 2.08-2.26
Fe 0.7568 0.9243 0.9728  6 O 1.97-2.12
O 0.4297 0.3915 0.1228  1 V 1.79, 1 Fe 1.97
V 0.7230 0.7469 0.4431  4 O 1.72-1.79
O 0.3347 0.3822 0.7913  1 V 1.75
V 0.7855 0.9747 0.6562  4 O 1.70-1.81
O 0.0907 0.4854 0.9273  1 V 1.77
O 0.0536 0.8870 0.6302  1 V 1.70
O 0.5520 0.6065 0.8687  1 V 1.71
V 0.2085 0.0264 0.3485  4 O 1.71-1.80
O 0.9229 0.9991 0.0735  1 V 1.81, 1 Fe 2.02
Li 0.2430 0.2523 0.2022  6 O 2.11-2.20
O 0.8555 0.1164 0.7083  1 V 1.75
O 0.1425 0.8846 0.2959  1 V 1.75
Li 0.2595 0.7507 0.6989  6 O 2.12-2.22
O 0.5790 0.3791 0.9661  1 V 1.71
V 0.7899 0.5271 0.6510  4 O 1.71-1.80
O 0.0894 0.6327 0.7880  1 V 1.76
O 0.4297 0.1133 0.1265  1 V 1.78, 1 Fe 1.95
O 0.5879 0.0101 0.5733  1 V 1.81, 1 Fe 1.95
O 0.1410 0.7543 0.1541  1 V 1.72
Fe 0.7357 0.0678 0.4756  6 O 1.95-2.06
Fe 0.2489 0.4325 0.0263  6 O 1.97-2.09
V 0.2751 0.5242 0.8443  4 O 1.71-1.77
Fe 0.0987 0.2500 0.7467  6 O 1.97-2.14
O 0.4148 0.9902 0.4256  1 V 1.75



Below is a relaxed structure of MgFe2O5, with properties calculated at the GGA+U level.

Values from the calculation:
SG: Cc
Final energy: -6.12 eV/atom
Energy of formation: -1.701 eV/atom
Distance to the lowest polymorph of the same formula: 3.6 kJ per mole of atoms

Cell: 5.5825 5.5825 7.1826 Å, 71.68 71.68 55.50°
Closest atoms and distances in Å follow each position.
Positions (direct):
Fe 0.3708 0.3687 0.2129  5 O 1.89-2.06
Fe 0.6216 0.6274 0.7866  6 O 1.85-2.06
Mg 0.9970 0.0035 0.0020  6 O 2.08-2.12
O 0.2732 0.5708 0.4374  3 Fe 2.01-2.06, 1 Mg 2.08
Fe 0.3687 0.3708 0.7129  5 O 1.89-2.06
O 0.4319 0.7350 0.0566  3 Fe 1.99-2.16, 1 Mg 2.10
O 0.7866 0.2186 0.2527  2 Fe 1.96-2.06, 2 Mg 2.12
O 0.6354 0.9664 0.6670  2 Fe 1.85-1.94
O 0.5708 0.2732 0.9374  3 Fe 2.01-2.06, 1 Mg 2.08
O 0.9664 0.6354 0.1670  2 Fe 1.85-1.94
O 0.3743 0.0135 0.3311  2 Fe 1.88-1.89, 1 Mg 2.09
Fe 0.6274 0.6216 0.2866  6 O 1.85-2.06
Mg 0.0035 0.9970 0.5020  6 O 2.08-2.12
O 0.2186 0.7866 0.7527  2 Fe 1.96-2.06, 2 Mg 2.12
O 0.7350 0.4319 0.5566  3 Fe 1.99-2.16, 1 Mg 2.10
O 0.0135 0.3743 0.8311  2 Fe 1.88-1.89, 1 Mg 2.09



Below is a relaxed structure of KLi2FeO3, with properties calculated at the GGA+U level.

Values from the calculation:
SG: Pnma
Final energy: -4.97 eV/atom
Energy of formation: -1.554 eV/atom
Distance to the lowest polymorph of the same formula: 28.6 kJ per mole of atoms

Cell: 6.1378 6.5504 8.7928 Å, 90.00 90.00 90.00°
Closest atoms and distances in Å follow each position.
Positions (direct):
K 0.2500 0.8223 0.5109  5 O 2.61-2.89
Li 0.5053 0.0051 0.7691  3 O 2.02-2.03
O 0.7500 0.3450 0.8278  1 Fe 1.87, 2 Li 2.02
Li 0.0053 0.4949 0.2691  3 O 2.02-2.03
O 0.5000 0.5000 0.5000  2 Fe 1.95, 2 Li 2.03
Li 0.4947 0.4949 0.2691  3 O 2.02-2.03
K 0.2500 0.3223 0.9891  5 O 2.61-2.89
O 0.2500 0.6629 0.8173  1 Fe 1.87, 2 Li 2.03
O 0.7500 0.8450 0.6722  1 Fe 1.87, 2 Li 2.02
Li 0.0053 0.9949 0.2309  3 O 2.02-2.03
Fe 0.7500 0.6838 0.4962  4 O 1.87-1.95
Li 0.5053 0.5051 0.7309  3 O 2.02-2.03
O 0.2500 0.1550 0.3278  1 Fe 1.87, 2 Li 2.02
Li 0.4947 0.9949 0.2309  3 O 2.02-2.03
O 0.2500 0.6550 0.1722  1 Fe 1.87, 2 Li 2.02
Li 0.9947 0.5051 0.7309  3 O 2.02-2.03
Fe 0.2500 0.8162 0.9962  4 O 1.87-1.95
O 0.7500 0.3371 0.1827  1 Fe 1.87, 2 Li 2.03
O 0.0000 0.0000 0.0000  2 Fe 1.95, 2 Li 2.03
O 0.0000 0.5000 0.5000  2 Fe 1.95, 2 Li 2.03
K 0.7500 0.6777 0.0109  5 O 2.61-2.89
Fe 0.2500 0.3162 0.5038  4 O 1.87-1.95
Li 0.9947 0.0051 0.7691  3 O 2.02-2.03
O 0.5000 0.0000 0.0000  2 Fe 1.95, 2 Li 2.03
O 0.7500 0.8371 0.3173  1 Fe 1.87, 2 Li 2.03
Fe 0.7500 0.1838 0.0038  4 O 1.87-1.95
K 0.7500 0.1777 0.4891  5 O 2.61-2.89
O 0.2500 0.1629 0.6827  1 Fe 1.87, 2 Li 2.03



Below is a relaxed structure of Li6V3P8O29, with properties calculated at the GGA+U level.

Values from the calculation:
SG: P1
Final energy: -7.02 eV/atom
Energy of formation: -2.661 eV/atom
Distance to the lowest polymorph of the same formula: 0.1 kJ per mole of atoms

Cell: 9.8401 9.8454 13.9390 Å, 90.03 90.10 119.96°
Closest atoms and distances in Å follow each position.
Positions (direct):
O 0.3282 0.6656 0.9798  1 P 1.49
O 0.9014 0.3817 0.3218  1 P 1.56
O 0.1864 0.6734 0.3335  1 P 1.58
P 0.0877 0.7688 0.6572  4 O 1.50-1.63
P 0.9092 0.6804 0.8412  4 O 1.50-1.60
O 0.5128 0.3293 0.1650  1 P 1.57
O 0.9973 0.7572 0.5679  1 P 1.50
O 0.0998 0.6208 0.6742  1 P 1.54
Li 0.6664 0.3329 0.8847  1 O 1.85
O 0.3419 0.2528 0.3392  1 P 1.51
O 0.3782 0.8983 0.1743  1 P 1.52
O 0.5211 0.9023 0.6753  1 P 1.54
V 0.0000 0.5658 0.2514  6 O 1.85-2.02
P 0.2312 0.9100 0.1584  4 O 1.51-1.61
O 0.6271 0.1123 0.8258  1 P 1.56
P 0.2290 0.3132 0.6568  4 O 1.48-1.63
O 0.4855 0.3729 0.8254  1 P 1.55
O 0.6702 0.3310 0.5209  1 P 1.48
O 0.7550 0.9975 0.9320  1 P 1.50
O 0.9974 0.2386 0.0682  1 P 1.51
O 0.6623 0.9160 0.1602  1 P 1.55
O 0.6638 0.3333 0.0173  1 P 1.52
O 0.4893 0.8152 0.3329  1 P 1.59
P 0.3337 0.6681 0.8732  4 O 1.49-1.60
Li 0.9057 0.6797 0.0655  4 O 1.96-2.13
O 0.0819 0.7450 0.1603  1 P 1.55
P 0.3350 0.6689 0.3730  4 O 1.49-1.59
O 0.6657 0.7489 0.6595  1 P 1.55
O 0.6724 0.4858 0.6669  1 P 1.58
O 0.2503 0.3329 0.1588  1 P 1.54
Li 0.7716 0.6781 0.5573  3 O 1.96-2.08
O 0.7462 0.0835 0.3388  1 P 1.55
O 0.4832 0.6710 0.8327  1 P 1.56
Li 0.0969 0.7735 0.4371  4 O 1.94-2.17
O 0.7588 0.0020 0.5686  1 P 1.50
V 0.4332 0.9993 0.7499  6 O 1.89-2.01
O 0.2091 0.9981 0.2495  2 P 1.61-1.62
P 0.6807 0.9132 0.6581  4 O 1.50-1.62
O 0.2432 0.9971 0.4303  1 P 1.50
O 0.8124 0.4876 0.1634  1 P 1.57
O 0.3300 0.8176 0.8322  1 P 1.60
O 0.7435 0.6641 0.8401  1 P 1.56
Li 0.6778 0.7729 0.9424  3 O 1.95-2.07
O 0.3334 0.0806 0.8424  1 P 1.55
O 0.8175 0.3319 0.6712  1 P 1.60
O 0.9984 0.2100 0.2498  2 P 1.61-1.62
O 0.3825 0.4743 0.6764  1 P 1.57
O 0.5171 0.1843 0.6693  1 P 1.59
P 0.6792 0.7673 0.1587  4 O 1.51-1.62
V 0.5640 0.5662 0.7467  6 O 1.83-2.01
O 0.2372 0.9976 0.0683  1 P 1.51
V 0.4305 0.4356 0.2545  6 O 1.85-2.04
O 0.3331 0.5200 0.3271  1 P 1.59
O 0.3375 0.6707 0.4797  1 P 1.49
O 0.0985 0.4781 0.1747  1 P 1.53
P 0.6681 0.3333 0.6274  4 O 1.48-1.60
O 0.5218 0.6183 0.1726  1 P 1.52
V 0.5664 0.0000 0.2508  6 O 1.85-2.02
Li 0.2259 0.9056 0.9422  3 O 1.95-2.05
O 0.2438 0.2435 0.9338  1 P 1.50
O 0.9941 0.2407 0.4332  1 P 1.48
O 0.2502 0.9181 0.6594  1 P 1.54
P 0.0878 0.3194 0.1581  4 O 1.51-1.62
O 0.1823 0.5169 0.8307  1 P 1.60
O 0.4781 0.0943 0.3227  1 P 1.56
O 0.7580 0.7593 0.4311  1 P 1.51
O 0.0856 0.3360 0.6582  1 P 1.54
Li 0.9134 0.2286 0.5570  3 O 1.88-2.04
Li 0.3194 0.2264 0.0664  4 O 1.98-2.15
P 0.3195 0.2305 0.8435  4 O 1.50-1.60
O 0.2414 0.2300 0.5721  1 P 1.48
O 0.7910 0.7911 0.2499  2 P 1.62
P 0.3191 0.0891 0.3409  4 O 1.50-1.62
P 0.7712 0.0896 0.8428  4 O 1.50-1.61
O 0.2098 0.2140 0.7542  2 P 1.60-1.63
O 0.6230 0.5196 0.3246  1 P 1.53
Li 0.0938 0.3189 0.9433  3 O 1.95-2.04
P 0.6652 0.3340 0.1261  4 O 1.52-1.57
O 0.7894 0.0009 0.7506  2 P 1.61-1.62
O 0.9985 0.7577 0.9312  1 P 1.50
O 0.9977 0.7876 0.7500  2 P 1.60-1.63
Li 0.3198 0.0936 0.5551  2 O 1.87-1.94
O 0.9190 0.6668 0.3414  1 P 1.55
Li 0.7734 0.0935 0.0656  4 O 1.94-2.15
O 0.9202 0.2524 0.8435  1 P 1.54
O 0.6728 0.1874 0.1633  1 P 1.57
V 0.0028 0.4359 0.7494  6 O 1.90-2.05
O 0.7613 0.7622 0.0685  1 P 1.51
P 0.9122 0.2312 0.3421  4 O 1.48-1.61
Li 0.6781 0.9059 0.4365  4 O 1.96-2.16
P 0.7689 0.6803 0.3412  4 O 1.51-1.62
O 0.8877 0.5144 0.8264  1 P 1.55